Record 1
A plane-wave DFT calculation with r²SCAN was carried out for a relaxed CaTl2O4 crystal.

```
CaTl2O4
1.0
1.670 -5.547 0.000
1.670 5.547 0.000
0.000 0.000 10.513
Ca Tl O
2 4 8
direct
0.109 0.891 0.750 Ca
0.891 0.109 0.250 Ca
0.366 0.634 0.572 Tl
0.366 0.634 0.928 Tl
0.634 0.366 0.072 Tl
0.634 0.366 0.428 Tl
0.000 0.000 0.000 O
0.000 0.000 0.500 O
0.280 0.720 0.117 O
0.280 0.720 0.383 O
0.462 0.538 0.750 O
0.538 0.462 0.250 O
0.720 0.280 0.617 O
0.720 0.280 0.883 O
```

## Properties
Electronic total energy, eV/atom: -21.118
Energy relative to the elements, kJ/mol of atoms: -145.3
Theoretical density, Mg/m³: 8.7

Record 2
A plane-wave DFT calculation with r²SCAN was carried out for a relaxed Cs2NiAs2 crystal.

```
Cs2NiAs2
1.0
3.610 -7.343 0.000
3.610 7.343 0.000
0.000 0.000 6.124
Cs Ni As
4 2 4
direct
0.094 0.906 0.750 Cs
0.292 0.708 0.250 Cs
0.708 0.292 0.750 Cs
0.906 0.094 0.250 Cs
0.500 0.500 0.000 Ni
0.500 0.500 0.500 Ni
0.243 0.422 0.750 As
0.422 0.243 0.250 As
0.578 0.757 0.750 As
0.757 0.578 0.250 As
```

## Properties
Electronic total energy, eV/atom: -18.855
Energy relative to the elements, kJ/mol of atoms: -51.4
Theoretical density, Mg/m³: 4.9